[1]
The following is a PBE calculation of an optimized crystal structure of CeDyS3, from the Materials Project database.

space-group type = Pnma (62)
formation energy from the elements = -227 kJ/mol of atoms

Cell: 3.983 7.386 15.290 Å, 90.00 90.00 90.00°
Atoms (fractional coordinates):
S 0.750 0.489 0.106
S 0.750 0.351 0.718
S 0.250 0.149 0.218
S 0.750 0.126 0.936
S 0.750 0.626 0.564
S 0.250 0.011 0.606
S 0.250 0.874 0.064
S 0.750 0.989 0.394
S 0.250 0.374 0.436
S 0.250 0.511 0.894
S 0.750 0.851 0.782
S 0.250 0.649 0.282
Ce 0.750 0.860 0.203
Ce 0.250 0.140 0.797
Ce 0.250 0.640 0.703
Ce 0.750 0.360 0.297
Dy 0.250 0.267 0.044
Dy 0.750 0.233 0.544
Dy 0.750 0.733 0.956
Dy 0.250 0.767 0.456

***

[2]
The following is a PBE calculation of an optimized crystal structure of CeEr, from the Materials Project database.

space-group type = P-6m2 (187)
formation energy from the elements = 9 kJ/mol of atoms

Cell: 3.498 3.498 5.747 Å, 90.00 90.00 120.00°
Atoms (fractional coordinates):
Er 0.333 0.667 0.000
Ce 0.667 0.333 0.500

***

[3]
The following is a PBE calculation of an optimized crystal structure of CeEr, from the Materials Project database.

space-group type = R3m (160)
formation energy from the elements = 6 kJ/mol of atoms

Cell: 16.856 16.856 16.856 Å, 12.07 12.07 12.07°
Atoms (fractional coordinates):
Er 0.111 0.111 0.111
Er 0.389 0.389 0.389
Er 0.889 0.889 0.889
Ce 0.500 0.500 0.500
Ce 0.612 0.612 0.612
Ce 0.000 0.000 0.000

***

> What is the formation energy from the elements in the second record?

9 kJ/mol of atoms

***

Repeat the third record exactly.
The following is a PBE calculation of an optimized crystal structure of CeEr, from the Materials Project database.

space-group type = R3m (160)
formation energy from the elements = 6 kJ/mol of atoms

Cell: 16.856 16.856 16.856 Å, 12.07 12.07 12.07°
Atoms (fractional coordinates):
Er 0.111 0.111 0.111
Er 0.389 0.389 0.389
Er 0.889 0.889 0.889
Ce 0.500 0.500 0.500
Ce 0.612 0.612 0.612
Ce 0.000 0.000 0.000

***

> Among the records above, which one has the lowest formation energy from the elements?

CeDyS3

***

What did the second record say?
The following is a PBE calculation of an optimized crystal structure of CeEr, from the Materials Project database.

space-group type = P-6m2 (187)
formation energy from the elements = 9 kJ/mol of atoms

Cell: 3.498 3.498 5.747 Å, 90.00 90.00 120.00°
Atoms (fractional coordinates):
Er 0.333 0.667 0.000
Ce 0.667 0.333 0.500